No. 1
# IrO2 | the Materials Project database | PBE | optimized geometry
data_IrO2
_cell_length_a 5.623
_cell_length_b 5.623
_cell_length_c 5.623
_cell_angle_alpha 139.14
_cell_angle_beta 139.14
_cell_angle_gamma 59.16
_symmetry_space_group_name_H-M 'P 1'
_symmetry_Int_Tables_number 1
loop_
_symmetry_equiv_pos_as_xyz
'x,y,z'
loop_
_atom_site_label
_atom_site_fract_x
_atom_site_fract_y
_atom_site_fract_z
Ir1 0.375 0.625 0.750
Ir2 0.625 0.375 0.250
O1 0.165 0.415 0.750
O2 0.415 0.165 0.250
O3 0.585 0.835 0.750
O4 0.835 0.585 0.250
# Formation energy: -998 meV per atom
# Electronic total energy: -40.71 eV per cell

---

No. 2
# IrO2 | the Materials Project database | PBE | optimized geometry
data_IrO2
_cell_length_a 4.545
_cell_length_b 4.545
_cell_length_c 3.190
_cell_angle_alpha 90.00
_cell_angle_beta 90.00
_cell_angle_gamma 90.00
_symmetry_space_group_name_H-M 'P 1'
_symmetry_Int_Tables_number 1
loop_
_symmetry_equiv_pos_as_xyz
'x,y,z'
loop_
_atom_site_label
_atom_site_fract_x
_atom_site_fract_y
_atom_site_fract_z
Ir1 0.000 0.000 0.000
Ir2 0.500 0.500 0.500
O1 0.192 0.192 0.500
O2 0.308 0.692 0.000
O3 0.692 0.308 0.000
O4 0.808 0.808 0.500
# Formation energy: -1261 meV per atom
# Electronic total energy: -42.29 eV per cell

---

No. 3
# IrO2 | the Materials Project database | PBE | optimized geometry
data_IrO2
_cell_length_a 4.943
_cell_length_b 4.943
_cell_length_c 4.943
_cell_angle_alpha 90.00
_cell_angle_beta 90.00
_cell_angle_gamma 90.00
_symmetry_space_group_name_H-M 'P 1'
_symmetry_Int_Tables_number 1
loop_
_symmetry_equiv_pos_as_xyz
'x,y,z'
loop_
_atom_site_label
_atom_site_fract_x
_atom_site_fract_y
_atom_site_fract_z
Ir1 0.000 0.000 0.000
Ir2 0.000 0.500 0.500
Ir3 0.500 0.000 0.500
Ir4 0.500 0.500 0.000
O1 0.152 0.652 0.848
O2 0.152 0.848 0.348
O3 0.348 0.152 0.848
O4 0.348 0.348 0.348
O5 0.652 0.652 0.652
O6 0.652 0.848 0.152
O7 0.848 0.152 0.652
O8 0.848 0.348 0.152
# Formation energy: -1165 meV per atom
# Electronic total energy: -83.42 eV per cell